Na12Ca2Ta10Si15S3O72, relaxed, DFT PBE; E_form = -2987.6 meV per atom; energy = -879.6 eV per cell
1.0
9.023 0.011 0.006
-4.502 7.829 -0.020
0.015 -0.051 22.797
Ta O Si Na Ca S
10 72 15 12 2 3
direct
0.666 0.330 0.479
0.322 0.659 0.017
0.331 0.674 0.816
0.008 0.012 0.359
0.326 0.666 0.315
0.334 0.666 0.516
0.665 0.346 0.978
0.991 0.990 0.643
0.021 0.010 0.143
0.989 0.991 0.860
0.170 0.190 0.410
0.348 0.504 0.071
0.699 0.525 0.531
0.188 0.475 0.256
0.362 0.495 0.356
0.192 0.186 0.805
0.138 0.502 0.859
0.806 0.975 0.693
0.170 0.998 0.307
0.022 0.186 0.194
0.508 0.669 0.571
0.175 0.204 0.698
0.852 0.356 0.926
0.184 0.704 0.756
0.179 0.018 0.590
0.633 0.096 0.135
0.914 0.403 0.639
0.446 0.304 0.749
0.161 0.696 0.473
0.640 0.496 0.925
0.295 0.461 0.755
0.973 0.158 0.592
0.479 0.310 0.030
0.537 0.704 0.255
0.815 0.809 0.305
0.006 0.834 0.807
0.794 0.824 0.198
0.016 0.832 0.408
0.669 0.149 0.755
0.183 0.165 0.088
0.312 0.478 0.470
0.833 0.520 0.030
0.509 0.148 0.927
0.294 0.815 0.256
0.831 0.294 0.527
0.534 0.843 0.474
0.848 0.327 0.254
0.338 0.845 0.570
0.910 0.536 0.147
0.970 0.819 0.090
0.811 0.975 0.408
0.830 0.539 0.756
0.170 0.985 0.909
0.694 0.146 0.030
0.523 0.810 0.756
0.465 0.372 0.147
0.502 0.637 0.857
0.990 0.169 0.308
0.524 0.695 0.972
0.621 0.531 0.647
0.838 0.813 0.590
0.640 0.146 0.423
0.824 0.017 0.087
0.157 0.497 0.567
0.695 0.553 0.249
0.026 0.190 0.907
0.133 0.636 0.358
0.475 0.168 0.529
0.498 0.856 0.359
0.032 0.834 0.692
0.517 0.859 0.071
0.157 0.666 0.070
0.162 0.470 0.972
0.810 0.831 0.910
0.165 0.969 0.193
0.307 0.834 0.971
0.508 0.360 0.425
0.831 0.009 0.808
0.478 0.090 0.644
0.365 0.869 0.858
0.464 0.169 0.254
0.853 0.493 0.425
0.338 0.963 0.918
0.342 0.381 0.415
0.655 0.618 0.585
0.709 0.996 0.753
0.001 0.288 0.252
0.372 0.040 0.584
0.004 0.714 0.752
0.039 0.376 0.915
0.037 0.664 0.417
0.379 0.343 0.085
0.966 0.337 0.582
0.963 0.630 0.086
0.623 0.959 0.416
0.287 0.995 0.253
0.616 0.665 0.916
0.329 0.664 0.162
0.992 0.620 0.241
0.666 0.310 0.332
0.023 0.680 0.584
0.322 0.649 0.663
0.634 0.626 0.743
0.010 0.010 0.498
0.657 0.978 0.584
0.379 0.008 0.741
0.003 0.999 0.000
0.692 0.334 0.831
0.374 0.365 0.243
0.681 0.336 0.685
0.668 0.326 0.184
0.275 0.287 0.752
0.713 0.724 0.251
0.666 0.034 0.081

---

Mg17Al11Pt, relaxed, DFT PBE; E_form = -102.6 meV per atom; energy = -77.5 eV per cell
1.0
-7.625 -4.035 -2.828
6.876 -2.982 -4.958
1.485 -1.985 8.736
Al Mg Pt
11 17 1
direct
0.181 0.365 0.366
0.186 0.187 0.820
0.818 0.182 0.185
0.816 0.000 0.634
0.366 0.367 0.180
0.001 0.813 0.634
0.633 0.998 0.815
0.637 0.806 0.000
0.367 0.179 0.366
0.993 0.631 0.818
0.175 0.813 0.182
0.998 0.994 0.000
0.001 0.316 0.602
0.685 0.295 0.691
0.317 0.001 0.603
0.994 0.604 0.309
0.314 0.607 0.000
0.601 0.000 0.317
0.659 0.655 0.662
0.714 0.398 0.397
0.347 0.003 0.000
0.997 0.993 0.338
0.684 0.682 0.278
0.610 0.326 0.000
0.999 0.347 0.000
0.399 0.714 0.398
0.406 0.404 0.722
0.285 0.683 0.683
0.816 0.637 0.000

---

Mg5NiN4, relaxed, DFT PBE; E_form = -511.9 meV per atom; energy = -101.6 eV per cell
1.0
7.900 0.000 0.000
0.000 6.429 0.000
0.000 0.000 5.461
N Mg Ni
8 10 2
direct
0.468 0.250 0.464
0.532 0.750 0.536
0.032 0.250 0.464
0.250 0.015 0.990
0.968 0.750 0.536
0.250 0.485 0.990
0.750 0.515 0.010
0.750 0.985 0.010
0.250 0.250 0.256
0.750 0.750 0.744
0.558 0.512 0.277
0.942 0.988 0.277
0.558 0.988 0.277
0.442 0.012 0.723
0.058 0.012 0.723
0.058 0.488 0.723
0.942 0.512 0.277
0.442 0.488 0.723
0.750 0.250 0.938
0.250 0.750 0.062

---

Ca16Si17N34, relaxed, DFT PBE; E_form = -1368.3 meV per atom; energy = -487.2 eV per cell
1.0
8.451 -2.381 -6.077
4.800 -9.485 1.009
-0.885 -7.284 -7.758
Si N Ca
17 34 16
direct
0.863 0.863 0.863
0.181 0.458 0.181
0.365 0.904 0.365
0.904 0.365 0.365
0.863 0.863 0.410
0.500 0.500 0.500
0.967 0.678 0.678
0.181 0.181 0.458
0.365 0.365 0.365
0.678 0.967 0.678
0.181 0.181 0.181
0.365 0.365 0.904
0.458 0.181 0.181
0.410 0.863 0.863
0.678 0.678 0.967
0.678 0.678 0.678
0.863 0.410 0.863
0.219 0.927 0.927
0.750 0.481 0.019
0.704 0.432 0.432
0.481 0.750 0.019
0.019 0.750 0.750
0.251 0.981 0.517
0.251 0.251 0.517
0.750 0.750 0.750
0.517 0.981 0.251
0.251 0.517 0.981
0.251 0.517 0.251
0.019 0.481 0.750
0.517 0.251 0.981
0.981 0.251 0.251
0.750 0.481 0.750
0.750 0.750 0.481
0.981 0.251 0.517
0.250 0.250 0.250
0.927 0.927 0.219
0.251 0.251 0.981
0.019 0.750 0.481
0.981 0.517 0.251
0.517 0.251 0.251
0.432 0.432 0.704
0.481 0.019 0.750
0.927 0.927 0.927
0.750 0.019 0.481
0.432 0.704 0.432
0.750 0.019 0.750
0.927 0.219 0.927
0.481 0.750 0.750
0.251 0.981 0.251
0.750 0.750 0.019
0.432 0.432 0.432
0.289 0.711 0.289
0.503 0.997 0.997
0.769 0.077 0.077
0.503 0.997 0.503
0.503 0.503 0.997
0.711 0.289 0.289
0.289 0.289 0.711
0.711 0.289 0.711
0.289 0.711 0.711
0.077 0.077 0.769
0.997 0.503 0.503
0.997 0.503 0.997
0.077 0.769 0.077
0.997 0.997 0.503
0.077 0.077 0.077
0.711 0.711 0.289

---

- Which of these has the lowest E_form?
  Na12Ca2Ta10Si15S3O72

---

- Which formula does entry 1 have?
  Na12Ca2Ta10Si15S3O72

---

- Which of these has the highest energy?
  Mg17Al11Pt

---

- The highest energy belongs to which entry?
  Mg17Al11Pt